P) DFT (PBE with a Hubbard U) results for a relaxed Li2MnCuO4 crystal.

Calculated values
Volume: 72.10 Å³/cell

Unit cell a=5.098 b=5.098 c=5.098 alpha=131.82 beta=131.82 gamma=70.51
Element x y z (fractional)
Li 0.250 0.750 0.500
Li 0.500 0.500 0.000
Mn 0.000 0.000 0.000
Cu 0.750 0.250 0.500
O 0.517 0.017 0.500
O 0.231 0.231 0.000
O 0.983 0.483 0.500
O 0.769 0.769 0.000

---

Q) DFT (PBE with a Hubbard U) results for a relaxed Li2MnCuO4 crystal.

Calculated values
Volume: 143.24 Å³/cell

Unit cell a=4.134 b=7.783 c=5.093 alpha=102.59 beta=66.06 gamma=105.40
Element x y z (fractional)
Li 0.251 0.875 0.372
Li 0.251 0.376 0.875
Li 0.500 0.748 0.748
Li 0.499 0.252 0.254
Mn 0.999 0.500 0.502
Mn 0.002 0.001 0.998
Cu 0.750 0.624 0.124
Cu 0.750 0.127 0.626
O 0.983 0.256 0.290
O 0.983 0.727 0.760
O 0.516 0.007 0.975
O 0.515 0.508 0.478
O 0.771 0.885 0.342
O 0.766 0.384 0.852
O 0.232 0.116 0.652
O 0.231 0.615 0.154

---

P) takes first place; second place is 11 meV/atom up.

---

P) DFT (PBE with a Hubbard U) results for a relaxed Li2CuNiO4 crystal.

Calculated values
Volume: 140.82 Å³/cell

Unit cell a=5.867 b=5.867 c=5.867 alpha=121.07 beta=120.72 gamma=88.45
Element x y z (fractional)
Li 0.500 0.000 0.000
Li 0.000 0.500 0.500
Li 0.500 0.500 0.500
Li 0.500 0.500 0.000
Cu 0.500 0.000 0.500
Cu 0.000 0.000 0.000
Ni 0.000 0.000 0.500
Ni 0.000 0.500 0.000
O 0.770 0.747 0.023
O 0.228 0.737 0.010
O 0.224 0.747 0.477
O 0.228 0.218 0.490
O 0.772 0.782 0.510
O 0.776 0.253 0.523
O 0.772 0.263 0.990
O 0.230 0.253 0.977

---

Q) DFT (PBE with a Hubbard U) results for a relaxed Li2CuNiO4 crystal.

Calculated values
Volume: 146.70 Å³/cell

Unit cell a=5.687 b=6.014 c=5.687 alpha=64.07 beta=87.79 gamma=118.15
Element x y z (fractional)
Li 0.000 0.000 0.500
Li 0.500 0.500 0.500
Li 0.500 0.500 0.000
Li 0.500 0.000 0.500
Cu 0.000 0.500 0.500
Cu 0.000 0.000 0.000
Ni 0.500 0.000 0.000
Ni 0.000 0.500 0.000
O 0.193 0.933 0.793
O 0.275 0.567 0.240
O 0.725 0.433 0.760
O 0.807 0.067 0.207
O 0.264 0.054 0.189
O 0.757 0.446 0.290
O 0.243 0.554 0.710
O 0.736 0.946 0.811

---

R) DFT (PBE with a Hubbard U) results for a relaxed Li2CuNiO4 crystal.

Calculated values
Volume: 140.12 Å³/cell

Unit cell a=4.093 b=8.363 c=4.093 alpha=90.00 beta=90.07 gamma=90.00
Element x y z (fractional)
Li 0.500 0.750 0.000
Li 0.000 0.250 0.500
Li 0.000 0.500 0.000
Li 0.500 0.000 0.500
Cu 0.000 0.750 0.500
Cu 0.500 0.250 0.000
Ni 0.500 0.500 0.500
Ni 0.000 0.000 0.000
O 0.000 0.976 0.500
O 0.500 0.476 0.000
O 0.000 0.524 0.500
O 0.500 0.024 0.000
O 0.000 0.765 0.000
O 0.500 0.265 0.500
O 0.000 0.235 0.000
O 0.500 0.735 0.500

---

R) takes first place; second place is 6 meV/atom up.

---

P) DFT (PBE with a Hubbard U) results for a relaxed Li2V3CuO8 crystal.

Calculated values
Volume: 595.49 Å³/cell

Unit cell a=8.642 b=8.607 c=8.006 alpha=90.02 beta=89.98 gamma=90.13
Element x y z (fractional)
Li 0.001 0.999 0.004
Li 0.251 0.248 0.247
Li 0.248 0.752 0.747
Li 0.499 0.001 0.504
Li 0.501 0.501 0.997
Li 0.751 0.253 0.753
Li 0.749 0.748 0.253
Li 0.999 0.499 0.497
V 0.124 0.126 0.625
V 0.121 0.377 0.881
V 0.127 0.630 0.129
V 0.372 0.370 0.629
V 0.379 0.623 0.381
V 0.376 0.874 0.125
V 0.624 0.375 0.374
V 0.620 0.123 0.120
V 0.628 0.870 0.870
V 0.872 0.130 0.370
V 0.880 0.877 0.620
V 0.876 0.625 0.875
Cu 0.129 0.879 0.375
Cu 0.371 0.121 0.874
Cu 0.629 0.620 0.626
Cu 0.871 0.379 0.125
O 0.101 0.129 0.389
O 0.109 0.896 0.623
O 0.114 0.612 0.886
O 0.119 0.147 0.860
O 0.128 0.392 0.107
O 0.139 0.364 0.635
O 0.142 0.624 0.357
O 0.147 0.860 0.126
O 0.353 0.140 0.626
O 0.357 0.376 0.857
O 0.362 0.636 0.135
O 0.370 0.608 0.607
O 0.381 0.853 0.360
O 0.386 0.388 0.386
O 0.391 0.104 0.123
O 0.399 0.871 0.889
O 0.602 0.372 0.611
O 0.608 0.604 0.377
O 0.614 0.888 0.114
O 0.619 0.353 0.140
O 0.628 0.107 0.893
O 0.638 0.136 0.364
O 0.643 0.874 0.642
O 0.647 0.640 0.874
O 0.853 0.360 0.374
O 0.858 0.125 0.143
O 0.862 0.864 0.865
O 0.872 0.893 0.393
O 0.882 0.648 0.640
O 0.886 0.112 0.614
O 0.892 0.396 0.877
O 0.898 0.629 0.111

---

Q) DFT (PBE with a Hubbard U) results for a relaxed Li2V3CuO8 crystal.

Calculated values
Volume: 148.62 Å³/cell

Unit cell a=5.979 b=5.979 c=5.979 alpha=59.28 beta=59.28 gamma=59.28
Element x y z (fractional)
Li 0.876 0.876 0.876
Li 0.124 0.124 0.124
V 0.500 0.500 0.000
V 0.000 0.500 0.500
V 0.500 0.000 0.500
Cu 0.500 0.500 0.500
O 0.739 0.739 0.739
O 0.749 0.287 0.749
O 0.287 0.749 0.749
O 0.749 0.749 0.287
O 0.251 0.251 0.713
O 0.713 0.251 0.251
O 0.251 0.713 0.251
O 0.261 0.261 0.261

---

R) DFT (PBE with a Hubbard U) results for a relaxed Li2V3CuO8 crystal.

Calculated values
Volume: 293.79 Å³/cell

Unit cell a=5.887 b=5.887 c=9.821 alpha=88.85 beta=88.85 gamma=120.25
Element x y z (fractional)
Li 0.319 0.660 0.899
Li 0.020 0.009 0.995
Li 0.009 0.020 0.495
Li 0.660 0.319 0.399
V 0.668 0.801 0.215
V 0.150 0.335 0.215
V 0.197 0.846 0.211
V 0.846 0.197 0.711
V 0.801 0.668 0.715
V 0.335 0.150 0.715
Cu 0.333 0.678 0.499
Cu 0.678 0.333 0.999
O 0.688 0.873 0.607
O 0.492 0.511 0.325
O 0.345 0.667 0.102
O 0.001 0.988 0.312
O 0.988 0.001 0.812
O 0.173 0.336 0.607
O 0.467 0.949 0.333
O 0.027 0.488 0.325
O 0.840 0.142 0.107
O 0.142 0.840 0.607
O 0.949 0.467 0.833
O 0.488 0.027 0.825
O 0.667 0.345 0.602
O 0.873 0.688 0.107
O 0.511 0.492 0.825
O 0.336 0.173 0.107

---

P) takes first place; second place is 21 meV/atom up.

---

P) DFT (PBE with a Hubbard U) results for a relaxed LiVCuO4 crystal.

Calculated values
Volume: 201.22 Å³/cell

Unit cell a=5.986 b=5.961 c=7.045 alpha=115.03 beta=115.14 gamma=90.00
Element x y z (fractional)
Li 0.500 0.500 0.500
Li 0.000 0.500 0.500
V 0.429 0.679 0.858
V 0.571 0.321 0.142
Cu 0.000 0.500 0.000
Cu 0.000 0.000 0.000
O 0.669 0.632 0.338
O 0.331 0.368 0.662
O 0.331 0.795 0.662
O 0.669 0.205 0.338
O 0.226 0.267 0.035
O 0.191 0.733 0.965
O 0.774 0.733 0.965
O 0.809 0.267 0.035

---

Q) DFT (PBE with a Hubbard U) results for a relaxed LiVCuO4 crystal.

Calculated values
Volume: 150.65 Å³/cell

Unit cell a=6.166 b=6.166 c=6.166 alpha=125.49 beta=124.98 gamma=81.14
Element x y z (fractional)
Li 0.400 0.150 0.250
Li 0.600 0.850 0.750
V 0.500 0.500 0.000
V 0.000 0.500 0.500
Cu 0.000 0.000 0.500
Cu 0.000 0.500 0.000
O 0.258 0.288 0.970
O 0.265 0.293 0.527
O 0.265 0.738 0.973
O 0.818 0.288 0.530
O 0.182 0.712 0.470
O 0.735 0.707 0.473
O 0.735 0.262 0.027
O 0.742 0.712 0.030

---

Q) takes first place; second place is 138 meV/atom up.

---

P) DFT (PBE with a Hubbard U) results for a relaxed MgMn4Cu2O8 crystal.

Calculated values
Volume: 175.31 Å³/cell

Unit cell a=6.119 b=6.115 c=6.630 alpha=60.81 beta=58.66 gamma=60.55
Element x y z (fractional)
Mg 0.000 0.000 0.500
Mn 0.500 0.000 0.500
Mn 0.000 0.500 0.500
Mn 0.500 0.500 0.000
Mn 0.500 0.500 0.500
Cu 0.043 0.191 0.004
Cu 0.957 0.809 0.996
O 0.744 0.758 0.688
O 0.303 0.241 0.696
O 0.255 0.700 0.313
O 0.743 0.221 0.288
O 0.745 0.300 0.687
O 0.257 0.778 0.712
O 0.256 0.242 0.312
O 0.697 0.759 0.304

---

Q) DFT (PBE with a Hubbard U) results for a relaxed MgMn4Cu2O8 crystal.

Calculated values
Volume: 169.18 Å³/cell

Unit cell a=6.164 b=6.067 c=6.164 alpha=60.52 beta=64.49 gamma=60.52
Element x y z (fractional)
Mg 0.458 0.042 0.458
Mn 0.065 0.935 0.065
Mn 0.133 0.367 0.133
Mn 0.131 0.630 0.608
Mn 0.608 0.630 0.131
Cu 0.682 0.099 0.682
Cu 0.682 0.538 0.682
O 0.319 0.442 0.319
O 0.402 0.399 0.801
O 0.319 0.921 0.319
O 0.443 0.858 0.841
O 0.801 0.399 0.402
O 0.841 0.858 0.443
O 0.924 0.358 0.924
O 0.924 0.794 0.924

---

P) takes first place; second place is 136 meV/atom up.

---

P) DFT (PBE with a Hubbard U) results for a relaxed MgMn4Cu2O8 crystal.

Calculated values
Volume: 172.21 Å³/cell

Unit cell a=6.273 b=5.820 c=6.631 alpha=59.67 beta=59.52 gamma=61.76
Element x y z (fractional)
Mg 0.079 0.199 0.582
Mn 0.021 0.915 0.083
Mn 0.114 0.639 0.637
Mn 0.639 0.599 0.119
Mn 0.607 0.143 0.626
Cu 0.315 0.174 0.120
Cu 0.605 0.650 0.628
O 0.330 0.423 0.416
O 0.315 0.904 0.421
O 0.371 0.418 0.802
O 0.810 0.408 0.413
O 0.415 0.865 0.859
O 0.921 0.358 0.868
O 0.860 0.861 0.458
O 0.900 0.872 0.854

---

Q) DFT (PBE with a Hubbard U) results for a relaxed MgMn4Cu2O8 crystal.

Calculated values
Volume: 169.59 Å³/cell

Unit cell a=6.189 b=5.865 c=6.231 alpha=61.92 beta=64.73 gamma=61.72
Element x y z (fractional)
Mg 0.625 0.125 0.125
Mn 0.122 0.902 0.075
Mn 0.128 0.348 0.175
Mn 0.125 0.625 0.625
Mn 0.625 0.625 0.125
Cu 0.625 0.125 0.625
Cu 0.625 0.625 0.625
O 0.354 0.445 0.282
O 0.418 0.376 0.830
O 0.354 0.919 0.282
O 0.475 0.843 0.839
O 0.775 0.407 0.411
O 0.832 0.874 0.420
O 0.896 0.331 0.968
O 0.896 0.805 0.968

---

P) takes first place; second place is 26 meV/atom up.